{
  "formula": "PrEr3",
  "functional": "PBE-GGA",
  "state": "relaxed",
  "cell": [[3.6162, -6.2634, 0.0000], [3.6162, 6.2634, 0.0000], [0.0000, 0.0000, 5.7421]],
  "species": ["Pr", "Pr", "Er", "Er", "Er", "Er", "Er", "Er"],
  "fractional_positions": [[0.3333, 0.6667, 0.7500], [0.6667, 0.3333, 0.2500], [0.1641, 0.3283, 0.2500], [0.6717, 0.8359, 0.2500], [0.1641, 0.8359, 0.2500], [0.8359, 0.6717, 0.7500], [0.3283, 0.1641, 0.7500], [0.8359, 0.1641, 0.7500]],
  "de_polymorph_ev_per_atom": 0.000,
  "dft_energy_ev_per_atom": -4.601
}

{
  "formula": "BaBOF3",
  "functional": "PBE-GGA",
  "state": "relaxed",
  "cell": [[5.1819, 0.0000, 0.0000], [0.0000, 6.9518, 0.0000], [0.0000, 0.0000, 9.3571]],
  "species": ["Ba", "Ba", "Ba", "Ba", "B", "B", "B", "B", "O", "O", "O", "O", "F", "F", "F", "F", "F", "F", "F", "F", "F", "F", "F", "F"],
  "fractional_positions": [[0.2500, 0.3242, 0.6919], [0.7500, 0.6758, 0.3081], [0.7500, 0.8242, 0.8081], [0.2500, 0.1758, 0.1919], [0.2500, 0.8245, 0.5787], [0.7500, 0.1755, 0.4213], [0.7500, 0.3245, 0.9213], [0.2500, 0.6755, 0.0787], [0.7500, 0.4369, 0.8037], [0.7500, 0.0631, 0.3037], [0.2500, 0.9369, 0.6963], [0.2500, 0.5631, 0.1963], [0.2500, 0.5894, 0.9369], [0.7500, 0.4106, 0.0631], [0.7500, 0.0894, 0.5631], [0.2500, 0.9106, 0.4369], [0.5265, 0.3152, 0.4285], [0.9735, 0.1848, 0.9285], [0.4735, 0.8152, 0.0715], [0.0265, 0.6848, 0.5715], [0.0265, 0.8152, 0.0715], [0.5265, 0.1848, 0.9285], [0.9735, 0.3152, 0.4285], [0.4735, 0.6848, 0.5715]],
  "corrected_energy_ev_per_fu": -40.31,
  "dft_energy_ev_per_atom": -6.374,
  "total_magnetization_mub_per_cell": 0.00
}

{
  "formula": "Na4Si3Ge2O12",
  "functional": "PBE-GGA",
  "state": "relaxed",
  "cell": [[8.7614, 0.0000, 0.0000], [-4.3807, 7.5876, 0.0000], [0.0000, 0.0000, 21.6982]],
  "species": ["Na", "Na", "Na", "Na", "Na", "Na", "Na", "Na", "Na", "Na", "Na", "Na", "Na", "Na", "Na", "Na", "Na", "Na", "Na", "Na", "Na", "Na", "Na", "Na", "Si", "Si", "Si", "Si", "Si", "Si", "Si", "Si", "Si", "Si", "Si", "Si", "Si", "Si", "Si", "Si", "Si", "Si", "Ge", "Ge", "Ge", "Ge", "Ge", "Ge", "Ge", "Ge", "Ge", "Ge", "Ge", "Ge", "O", "O", "O", "O", "O", "O", "O", "O", "O", "O", "O", "O", "O", "O", "O", "O", "O", "O", "O", "O", "O", "O", "O", "O", "O", "O", "O", "O", "O", "O", "O", "O", "O", "O", "O", "O", "O", "O", "O", "O", "O", "O", "O", "O", "O", "O", "O", "O", "O", "O", "O", "O", "O", "O", "O", "O", "O", "O", "O", "O", "O", "O", "O", "O", "O", "O", "O", "O", "O", "O", "O", "O"],
  "fractional_positions": [[0.6324, 0.0000, 0.2500], [0.3676, 0.3676, 0.2500], [0.0000, 0.6324, 0.2500], [0.6324, 0.6324, 0.7500], [0.0000, 0.3676, 0.7500], [0.3676, 0.0000, 0.7500], [0.2991, 0.3333, 0.5833], [0.0343, 0.7009, 0.5833], [0.6667, 0.9657, 0.5833], [0.2991, 0.9657, 0.0833], [0.6667, 0.7009, 0.0833], [0.0343, 0.3333, 0.0833], [0.9657, 0.6667, 0.9167], [0.7009, 0.0343, 0.9167], [0.3333, 0.2991, 0.9167], [0.9657, 0.2991, 0.4167], [0.3333, 0.0343, 0.4167], [0.7009, 0.6667, 0.4167], [0.0000, 0.0000, 0.5000], [0.0000, 0.0000, 0.0000], [0.6667, 0.3333, 0.8333], [0.6667, 0.3333, 0.3333], [0.3333, 0.6667, 0.1667], [0.3333, 0.6667, 0.6667], [0.2878, 0.0000, 0.2500], [0.7122, 0.7122, 0.2500], [0.0000, 0.2878, 0.2500], [0.2878, 0.2878, 0.7500], [0.0000, 0.7122, 0.7500], [0.7122, 0.0000, 0.7500], [0.9545, 0.3333, 0.5833], [0.3789, 0.0455, 0.5833], [0.6667, 0.6211, 0.5833], [0.9545, 0.6211, 0.0833], [0.6667, 0.0455, 0.0833], [0.3789, 0.3333, 0.0833], [0.6211, 0.6667, 0.9167], [0.0455, 0.3789, 0.9167], [0.3333, 0.9545, 0.9167], [0.6211, 0.9545, 0.4167], [0.3333, 0.3789, 0.4167], [0.0455, 0.6667, 0.4167], [0.0000, 0.0000, 0.3528], [0.0000, 0.0000, 0.8528], [0.0000, 0.0000, 0.6472], [0.0000, 0.0000, 0.1472], [0.6667, 0.3333, 0.6862], [0.6667, 0.3333, 0.1862], [0.6667, 0.3333, 0.9805], [0.6667, 0.3333, 0.4805], [0.3333, 0.6667, 0.0195], [0.3333, 0.6667, 0.5195], [0.3333, 0.6667, 0.3138], [0.3333, 0.6667, 0.8138], [0.2042, 0.0422, 0.3106], [0.8380, 0.7958, 0.3106], [0.9578, 0.1620, 0.3106], [0.2042, 0.1620, 0.8106], [0.9578, 0.7958, 0.8106], [0.8380, 0.0422, 0.8106], [0.7958, 0.9578, 0.6894], [0.1620, 0.2042, 0.6894], [0.0422, 0.8380, 0.6894], [0.7958, 0.8380, 0.1894], [0.0422, 0.2042, 0.1894], [0.1620, 0.9578, 0.1894], [0.8709, 0.3756, 0.6439], [0.5046, 0.1291, 0.6439], [0.6244, 0.4954, 0.6439], [0.8709, 0.4954, 0.1439], [0.6244, 0.1291, 0.1439], [0.5046, 0.3756, 0.1439], [0.4624, 0.2911, 0.0228], [0.8287, 0.5376, 0.0228], [0.7089, 0.1713, 0.0228], [0.4624, 0.1713, 0.5228], [0.7089, 0.5376, 0.5228], [0.8287, 0.2911, 0.5228], [0.5376, 0.7089, 0.9772], [0.1713, 0.4624, 0.9772], [0.2911, 0.8287, 0.9772], [0.5376, 0.8287, 0.4772], [0.2911, 0.4624, 0.4772], [0.1713, 0.7089, 0.4772], [0.1291, 0.6244, 0.3561], [0.4954, 0.8709, 0.3561], [0.3756, 0.5046, 0.3561], [0.1291, 0.5046, 0.8561], [0.3756, 0.8709, 0.8561], [0.4954, 0.6244, 0.8561], [0.0255, 0.8425, 0.4103], [0.8170, 0.9745, 0.4103], [0.1575, 0.1830, 0.4103], [0.0255, 0.1830, 0.9103], [0.1575, 0.9745, 0.9103], [0.8170, 0.8425, 0.9103], [0.9745, 0.1575, 0.5897], [0.1830, 0.0255, 0.5897], [0.8425, 0.8170, 0.5897], [0.9745, 0.8170, 0.0897], [0.8425, 0.0255, 0.0897], [0.1830, 0.1575, 0.0897], [0.6922, 0.1758, 0.7436], [0.4837, 0.3078, 0.7436], [0.8242, 0.5163, 0.7436], [0.6922, 0.5163, 0.2436], [0.8242, 0.3078, 0.2436], [0.4837, 0.1758, 0.2436], [0.6412, 0.4908, 0.9230], [0.8496, 0.3588, 0.9230], [0.5092, 0.1504, 0.9230], [0.6412, 0.1504, 0.4230], [0.5092, 0.3588, 0.4230], [0.8496, 0.4908, 0.4230], [0.3588, 0.5092, 0.0770], [0.1504, 0.6412, 0.0770], [0.4908, 0.8496, 0.0770], [0.3588, 0.8496, 0.5770], [0.4908, 0.6412, 0.5770], [0.1504, 0.5092, 0.5770], [0.3078, 0.8242, 0.2564], [0.5163, 0.6922, 0.2564], [0.1758, 0.4837, 0.2564], [0.3078, 0.4837, 0.7564], [0.1758, 0.6922, 0.7564], [0.5163, 0.8242, 0.7564]],
  "corrected_energy_ev_per_fu": -144.39,
  "dft_energy_ev_per_atom": -6.483,
  "total_magnetization_mub_per_cell": 0.00
}

{
  "formula": "LaB5BrO11",
  "functional": "PBE-GGA",
  "state": "relaxed",
  "cell": [[-2.2590, -5.1273, 13.8522], [5.5070, -3.6208, -0.4422], [11.1839, 4.8395, 3.6151]],
  "species": ["La", "La", "La", "La", "B", "B", "B", "B", "B", "B", "B", "B", "B", "B", "B", "B", "B", "B", "B", "B", "B", "B", "B", "B", "Br", "Br", "Br", "Br", "O", "O", "O", "O", "O", "O", "O", "O", "O", "O", "O", "O", "O", "O", "O", "O", "O", "O", "O", "O", "O", "O", "O", "O", "O", "O", "O", "O", "O", "O", "O", "O", "O", "O", "O", "O", "O", "O", "O", "O", "O", "O", "O", "O"],
  "fractional_positions": [[0.3094, 0.9923, 0.1791], [0.1906, 0.9923, 0.6791], [0.6906, 0.0077, 0.8209], [0.8094, 0.0077, 0.3209], [0.2135, 0.5081, 0.3682], [0.2865, 0.5081, 0.8682], [0.7865, 0.4919, 0.6318], [0.7135, 0.4919, 0.1318], [0.2537, 0.4082, 0.2151], [0.2463, 0.4082, 0.7151], [0.7463, 0.5918, 0.7849], [0.7537, 0.5918, 0.2849], [0.3236, 0.6771, 0.0020], [0.1764, 0.6771, 0.5020], [0.6764, 0.3229, 0.9980], [0.8236, 0.3229, 0.4980], [0.5406, 0.1092, 0.0933], [0.9594, 0.1092, 0.5933], [0.4594, 0.8908, 0.9067], [0.0406, 0.8908, 0.4067], [0.3252, 0.1041, 0.9060], [0.1748, 0.1041, 0.4060], [0.6748, 0.8959, 0.0940], [0.8252, 0.8959, 0.5940], [0.0706, 0.1713, 0.0453], [0.4294, 0.1713, 0.5453], [0.9294, 0.8287, 0.9547], [0.5706, 0.8287, 0.4547], [0.2948, 0.8825, 0.0093], [0.2052, 0.8825, 0.5093], [0.7052, 0.1175, 0.9907], [0.7948, 0.1175, 0.4907], [0.2959, 0.4532, 0.1112], [0.2041, 0.4532, 0.6112], [0.7041, 0.5468, 0.8888], [0.7959, 0.5468, 0.3888], [0.4559, 0.1033, 0.1400], [0.0441, 0.1033, 0.6400], [0.5441, 0.8967, 0.8600], [0.9559, 0.8967, 0.3600], [0.2237, 0.6827, 0.3937], [0.2763, 0.6827, 0.8937], [0.7763, 0.3173, 0.6063], [0.7237, 0.3173, 0.1063], [0.4187, 0.6785, 0.9798], [0.0813, 0.6785, 0.4798], [0.5813, 0.3215, 0.0202], [0.9187, 0.3215, 0.5202], [0.2319, 0.1775, 0.2934], [0.2681, 0.1775, 0.7934], [0.7681, 0.8225, 0.7066], [0.7319, 0.8225, 0.2066], [0.5823, 0.8993, 0.1252], [0.9177, 0.8993, 0.6252], [0.4177, 0.1007, 0.8748], [0.0823, 0.1007, 0.3748], [0.2369, 0.5783, 0.2466], [0.2631, 0.5783, 0.7466], [0.7631, 0.4217, 0.7534], [0.7369, 0.4217, 0.2534], [0.4249, 0.7309, 0.2938], [0.0751, 0.7309, 0.7938], [0.5751, 0.2691, 0.7062], [0.9249, 0.2691, 0.2062], [0.3094, 0.2801, 0.9467], [0.1906, 0.2801, 0.4467], [0.6906, 0.7199, 0.0533], [0.8094, 0.7199, 0.5533], [0.4689, 0.9256, 0.3757], [0.0311, 0.9256, 0.8757], [0.5311, 0.0744, 0.6243], [0.9689, 0.0744, 0.1243]],
  "corrected_energy_ev_per_fu": -137.94,
  "dft_energy_ev_per_atom": -7.243,
  "total_magnetization_mub_per_cell": 3.92
}